[1]
SrZn13 | r²SCAN | optimized geometry

Lattice parameters (Å, degrees): 12.109 12.109 12.109 90.00 90.00 90.00
Space group Fm-3c (No. 226)
Unique sites:
1 Sr 0.250 0.250 0.250 (multiplicity 8)
2 Zn 0.000 0.000 0.000 (multiplicity 8)
3 Zn 0.000 0.120 0.179 (multiplicity 96)

M_tot: 0.0 μB per formula unit
formation enthalpy at 0 K: -202 meV/atom
calculated volume: 222.0 Å³/f.u.

---

[2]
ZrMnGe | r²SCAN | optimized geometry

Lattice parameters (Å, degrees): 6.778 3.870 7.837 90.00 90.00 90.00
Space group Pnma (No. 62)
Unique sites:
1 Zr 0.035 0.250 0.177 (multiplicity 4)
2 Mn 0.132 0.250 0.557 (multiplicity 4)
3 Ge 0.245 0.750 0.370 (multiplicity 4)

M_tot: 3.0 μB per formula unit
formation enthalpy at 0 K: -743 meV/atom
calculated volume: 51.4 Å³/f.u.

---

[3]
Na2H2Pd | r²SCAN | optimized geometry

Lattice parameters (Å, degrees): 3.526 3.526 11.254 90.00 90.00 90.00
Space group I4/mmm (No. 139)
Unique sites:
1 Na 0.000 0.000 0.140 (multiplicity 4)
2 H 0.000 0.000 0.350 (multiplicity 4)
3 Pd 0.000 0.000 0.500 (multiplicity 2)

M_tot: 0.0 μB per formula unit
formation enthalpy at 0 K: -326 meV/atom
calculated volume: 69.9 Å³/f.u.

---

[4]
SiO2 | r²SCAN | optimized geometry

Lattice parameters (Å, degrees): 7.379 11.399 11.566 104.67 94.35 96.22
Space group P-1 (No. 2)
Unique sites:
1 Si 0.041 0.237 0.071 (multiplicity 2)
2 Si 0.080 0.538 0.742 (multiplicity 2)
3 Si 0.220 0.410 0.929 (multiplicity 2)
4 Si 0.298 0.558 0.378 (multiplicity 2)
5 Si 0.334 0.865 0.057 (multiplicity 2)
6 Si 0.385 0.638 0.145 (multiplicity 2)
7 Si 0.407 0.143 0.144 (multiplicity 2)
8 Si 0.435 0.639 0.642 (multiplicity 2)
9 O 0.023 0.664 0.820 (multiplicity 2)
10 O 0.078 0.524 0.367 (multiplicity 2)
11 O 0.097 0.444 0.825 (multiplicity 2)
12 O 0.110 0.300 0.969 (multiplicity 2)
13 O 0.133 0.865 0.990 (multiplicity 2)
14 O 0.202 0.174 0.122 (multiplicity 2)
15 O 0.263 0.528 0.044 (multiplicity 2)
16 O 0.273 0.565 0.693 (multiplicity 2)
17 O 0.325 0.768 0.137 (multiplicity 2)
18 O 0.355 0.625 0.277 (multiplicity 2)
19 O 0.367 0.649 0.509 (multiplicity 2)
20 O 0.389 0.433 0.362 (multiplicity 2)
21 O 0.402 0.001 0.142 (multiplicity 2)
22 O 0.404 0.366 0.878 (multiplicity 2)
23 O 0.477 0.826 0.960 (multiplicity 2)
24 O 0.493 0.776 0.727 (multiplicity 2)

M_tot: 0.0 μB per formula unit
formation enthalpy at 0 K: -3019 meV/atom
calculated volume: 58.1 Å³/f.u.

---

[5]
AuSe | r²SCAN | optimized geometry

Lattice parameters (Å, degrees): 12.586 3.723 8.619 90.00 102.22 90.00
Space group C2/m (No. 12)
Unique sites:
1 Au 0.033 0.000 0.289 (multiplicity 4)
2 Au 0.150 0.500 0.014 (multiplicity 4)
3 Se 0.102 0.500 0.724 (multiplicity 4)
4 Se 0.168 0.500 0.301 (multiplicity 4)

M_tot: 0.0 μB per formula unit
formation enthalpy at 0 K: -136 meV/atom
calculated volume: 49.3 Å³/f.u.

---

[6]
Er3Fe2Si3 | r²SCAN | optimized geometry

Lattice parameters (Å, degrees): 4.105 10.374 13.621 90.00 90.00 90.00
Space group Cmcm (No. 63)
Unique sites:
1 Er 0.000 0.082 0.113 (multiplicity 8)
2 Er 0.000 0.366 0.250 (multiplicity 4)
3 Fe 0.000 0.214 0.582 (multiplicity 8)
4 Si 0.000 0.328 0.750 (multiplicity 4)
5 Si 0.000 0.382 0.039 (multiplicity 8)

M_tot: 0.0 μB per formula unit
formation enthalpy at 0 K: -651 meV/atom
calculated volume: 145.0 Å³/f.u.

---

- formation enthalpy at 0 K of number 2 (ZrMnGe)?
  -743 meV/atom

---

- Which value of calculated volume does entry 5 give?
  49.3 Å³/f.u.